(1)
# Li3Fe2F7 | Materials Project | PBE+U | optimized geometry
# Magnetization, μB per cell: 32.000
# ΔH_f (0 K), eV per atom: -2.832
# Distance to the lowest polymorph of the same formula, eV/atom: 0.000
data_Li3Fe2F7
_chemical_formula_sum 'Li12 Fe8 F28'
_space_group_name_H-M_alt 'C 1 2/c 1'
_space_group_IT_number 15
_cell_length_a 10.7040
_cell_length_b 5.1294
_cell_length_c 10.3375
_cell_angle_alpha 90.00
_cell_angle_beta 100.97
_cell_angle_gamma 90.00
loop_
_space_group_symop_operation_xyz
'x,y,z'
'-x,-y,-z'
'-x,y,-z+1/2'
'x,-y,z+1/2'
'x+1/2,y+1/2,z'
'-x+1/2,-y+1/2,-z'
'-x+1/2,y+1/2,-z+1/2'
'x+1/2,-y+1/2,z+1/2'
loop_
_atom_site_label
_atom_site_type_symbol
_atom_site_fract_x
_atom_site_fract_y
_atom_site_fract_z
Li1 Li 0.0574 0.2481 0.1329
Li2 Li 0.2500 0.2500 0.5000
Fe1 Fe 0.1669 0.2465 0.8451
F1 F 0.0000 0.0331 0.7500
F2 F 0.0927 0.4268 0.3976
F3 F 0.1585 0.0722 0.0310
F4 F 0.2040 0.4675 0.6784

(2)
# Al2CrO5 | Materials Project | PBE+U | optimized geometry
# Magnetization, μB per cell: 8.001
# ΔH_f (0 K), eV per atom: -2.876
# Distance to the lowest polymorph of the same formula, eV/atom: 0.000
data_Al2CrO5
_chemical_formula_sum 'Al8 Cr4 O20'
_space_group_name_H-M_alt 'C 1 2 1'
_space_group_IT_number 5
_cell_length_a 9.5571
_cell_length_b 4.9653
_cell_length_c 6.8381
_cell_angle_alpha 90.00
_cell_angle_beta 111.66
_cell_angle_gamma 90.00
loop_
_space_group_symop_operation_xyz
'x,y,z'
'-x,y,-z'
'x+1/2,y+1/2,z'
'-x+1/2,y+1/2,-z'
loop_
_atom_site_label
_atom_site_type_symbol
_atom_site_fract_x
_atom_site_fract_y
_atom_site_fract_z
Al1 Al 0.1285 0.0000 0.4652
Al2 Al 0.1286 0.9767 0.9653
Cr1 Cr 0.0002 0.4884 0.2498
O1 O 0.0000 0.2870 0.0000
O2 O 0.0000 0.6888 0.5000
O3 O 0.0841 0.1403 0.6965
O4 O 0.0842 0.8363 0.1963
O5 O 0.1888 0.3365 0.4051
O6 O 0.1885 0.6397 0.9060

(3)
# Mn15Br6O20 | Materials Project | PBE+U | optimized geometry
# ΔH_f (0 K), eV per atom: -1.750
data_Mn15Br6O20
_chemical_formula_sum 'Mn60 Br24 O80'
_space_group_name_H-M_alt 'F m -3 m'
_space_group_IT_number 225
_space_group_name_Hall '-F 4 2 3'
_cell_length_a 13.3434
_cell_length_b 13.3434
_cell_length_c 13.3434
_cell_angle_alpha 90.00
_cell_angle_beta 90.00
_cell_angle_gamma 90.00
loop_
_atom_site_label
_atom_site_type_symbol
_atom_site_fract_x
_atom_site_fract_y
_atom_site_fract_z
Mn1 Mn 0.0000 0.0000 0.0000
Mn2 Mn 0.0000 0.1751 0.1751
Mn3 Mn 0.2500 0.2500 0.2500
Br1 Br 0.0000 0.0000 0.2996
O1 O 0.0979 0.2500 0.2500
O2 O 0.0997 0.0997 0.0997

(4)
# Li6MnFe2O6 | Materials Project | PBE+U | optimized geometry
# Magnetization, μB per cell: 26.000
# ΔH_f (0 K), eV per atom: -1.892
# Distance to the lowest polymorph of the same formula, eV/atom: 0.004
data_Li6MnFe2O6
_chemical_formula_sum 'Li12 Mn2 Fe4 O12'
_space_group_name_H-M_alt 'P 1'
_space_group_IT_number 1
_cell_length_a 3.2200
_cell_length_b 7.6727
_cell_length_c 11.8827
_cell_angle_alpha 73.54
_cell_angle_beta 89.46
_cell_angle_gamma 88.33
loop_
_space_group_symop_operation_xyz
'x,y,z'
loop_
_atom_site_label
_atom_site_type_symbol
_atom_site_fract_x
_atom_site_fract_y
_atom_site_fract_z
Li1 Li 0.0000 0.0000 0.0000
Li2 Li 0.0017 0.3395 0.3311
Li3 Li 0.0111 0.6549 0.3083
Li4 Li 0.0142 0.3161 0.9767
Li5 Li 0.0194 0.9831 0.6447
Li6 Li 0.4932 0.6480 0.8105
Li7 Li 0.4982 0.3169 0.4747
Li8 Li 0.5049 0.9813 0.1435
Li9 Li 0.5069 0.6743 0.1648
Li10 Li 0.5176 0.3378 0.8334
Li11 Li 0.5209 0.0070 0.4972
Li12 Li 0.9956 0.6719 0.6632
Mn1 Mn 0.0075 0.3276 0.6542
Mn2 Mn 0.5079 0.3278 0.1539
Fe1 Fe 0.0042 0.6625 0.9874
Fe2 Fe 0.0091 0.9932 0.3205
Fe3 Fe 0.5057 0.6613 0.4849
Fe4 Fe 0.5086 0.9936 0.8232
O1 O 0.9999 0.1298 0.1324
O2 O 0.0126 0.5260 0.1756
O3 O 0.0323 0.1827 0.8472
O4 O 0.0342 0.8540 0.5086
O5 O 0.5053 0.4649 0.9608
O6 O 0.5052 0.8010 0.2944
O7 O 0.5051 0.8543 0.0142
O8 O 0.5065 0.5225 0.6808
O9 O 0.5091 0.1321 0.6271
O10 O 0.5106 0.1907 0.3467
O11 O 0.9801 0.8011 0.7991
O12 O 0.9827 0.4719 0.4612

(5)
# Li3V2P3O12 | Materials Project | PBE+U | optimized geometry
# Magnetization, μB per cell: 16.000
# ΔH_f (0 K), eV per atom: -2.728
# Distance to the lowest polymorph of the same formula, eV/atom: 0.000
data_Li3V2P3O12
_chemical_formula_sum 'Li12 V8 P12 O48'
_space_group_name_H-M_alt 'P 1 21/c 1'
_space_group_IT_number 14
_cell_length_a 8.7531
_cell_length_b 8.7401
_cell_length_c 14.9733
_cell_angle_alpha 90.00
_cell_angle_beta 125.14
_cell_angle_gamma 90.00
loop_
_space_group_symop_operation_xyz
'x,y,z'
'-x,-y,-z'
'-x,y+1/2,-z+1/2'
'x,-y+1/2,z+1/2'
loop_
_atom_site_label
_atom_site_type_symbol
_atom_site_fract_x
_atom_site_fract_y
_atom_site_fract_z
Li1 Li 0.0270 0.2218 0.3232
Li2 Li 0.3105 0.1922 0.2400
Li3 Li 0.3864 0.5883 0.3063
V1 V 0.1378 0.5392 0.3896
V2 V 0.3620 0.5290 0.1101
P1 P 0.0427 0.1027 0.6484
P2 P 0.2520 0.6155 0.6475
P3 P 0.4556 0.2489 0.9921
O1 O 0.0245 0.2365 0.1861
O2 O 0.0907 0.5196 0.2378
O3 O 0.0999 0.5908 0.6686
O4 O 0.1317 0.5513 0.9591
O5 O 0.1754 0.5873 0.5279
O6 O 0.2203 0.1140 0.6484
O7 O 0.2620 0.1690 0.9300
O8 O 0.3212 0.7159 0.1804
O9 O 0.3857 0.6335 0.4346
O10 O 0.4141 0.0017 0.2190
O11 O 0.4637 0.1357 0.5722
O12 O 0.4731 0.1791 0.4038

(6)
# Ca14MnP9O36F3 | Materials Project | PBE+U | optimized geometry
# Magnetization, μB per cell: 10.089
# ΔH_f (0 K), eV per atom: -3.361
data_Ca14MnP9O36F3
_chemical_formula_sum 'Ca28 Mn2 P18 O72 F6'
_space_group_name_H-M_alt 'P 3'
_space_group_IT_number 143
_cell_length_a 9.4605
_cell_length_b 9.4605
_cell_length_c 20.7187
_cell_angle_alpha 90.00
_cell_angle_beta 90.00
_cell_angle_gamma 120.00
loop_
_space_group_symop_operation_xyz
'x,y,z'
'-y,x-y,z'
'-x+y,-x,z'
loop_
_atom_site_label
_atom_site_type_symbol
_atom_site_fract_x
_atom_site_fract_y
_atom_site_fract_z
Ca1 Ca 0.0000 0.0000 0.9995
Ca2 Ca 0.0000 0.0000 0.1655
Ca3 Ca 0.0000 0.0000 0.3327
Ca4 Ca 0.0000 0.0000 0.4988
Ca5 Ca 0.0000 0.0000 0.6660
Ca6 Ca 0.0000 0.0000 0.8323
Ca7 Ca 0.0859 0.4234 0.2488
Ca8 Ca 0.0860 0.4235 0.9158
Ca9 Ca 0.0861 0.4235 0.5821
Ca10 Ca 0.0900 0.6704 0.0826
Ca11 Ca 0.0900 0.6704 0.4159
Ca12 Ca 0.0903 0.6708 0.7490
Ca13 Ca 0.6667 0.3333 0.0000
Ca14 Ca 0.6667 0.3333 0.3325
Ca15 Ca 0.6667 0.3333 0.6648
Ca16 Ca 0.6667 0.3333 0.8328
Mn1 Mn 0.6667 0.3333 0.1670
Mn2 Mn 0.6667 0.3333 0.5001
P1 P 0.3043 0.2687 0.9154
P2 P 0.3060 0.2686 0.2479
P3 P 0.3059 0.2686 0.5812
P4 P 0.3626 0.0646 0.7487
P5 P 0.3640 0.0651 0.0829
P6 P 0.3641 0.0651 0.4162
O1 O 0.0022 0.4151 0.1418
O2 O 0.0022 0.4151 0.4750
O3 O 0.0040 0.1809 0.0815
O4 O 0.0041 0.1811 0.4148
O5 O 0.0068 0.1821 0.7481
O6 O 0.0751 0.7546 0.1877
O7 O 0.0750 0.7546 0.5210
O8 O 0.0752 0.7545 0.8546
O9 O 0.0761 0.7443 0.3079
O10 O 0.0764 0.7445 0.6412
O11 O 0.0791 0.7481 0.9751
O12 O 0.2121 0.0783 0.2503
O13 O 0.2122 0.0783 0.5837
O14 O 0.2115 0.0784 0.9171
O15 O 0.4149 0.0021 0.8083
O16 O 0.4212 0.0126 0.6878
O17 O 0.4221 0.0146 0.0214
O18 O 0.4221 0.0147 0.3547
O19 O 0.4551 0.2549 0.7504
O20 O 0.4597 0.2559 0.0866
O21 O 0.4597 0.2559 0.4199
O22 O 0.4914 0.3398 0.9149
O23 O 0.4940 0.3390 0.2458
O24 O 0.4939 0.3390 0.5791
F1 F 0.3333 0.6667 0.0815
F2 F 0.3333 0.6667 0.2485
F3 F 0.3333 0.6667 0.4149
F4 F 0.3333 0.6667 0.5818
F5 F 0.3333 0.6667 0.7484
F6 F 0.3333 0.6667 0.9151

(7)
# ErMoO4F | Materials Project | PBE+U | optimized geometry
# Magnetization, μB per cell: 0.002
# ΔH_f (0 K), eV per atom: -3.001
data_ErMoO4F
_chemical_formula_sum 'Er4 Mo4 O16 F4'
_space_group_name_H-M_alt 'P 1 21/c 1'
_space_group_IT_number 14
_cell_length_a 5.2359
_cell_length_b 12.3690
_cell_length_c 6.6830
_cell_angle_alpha 90.00
_cell_angle_beta 113.33
_cell_angle_gamma 90.00
loop_
_space_group_symop_operation_xyz
'x,y,z'
'-x,-y,-z'
'-x,y+1/2,-z+1/2'
'x,-y+1/2,z+1/2'
loop_
_atom_site_label
_atom_site_type_symbol
_atom_site_fract_x
_atom_site_fract_y
_atom_site_fract_z
Er1 Er 0.1394 0.0507 0.3004
Mo1 Mo 0.4204 0.1435 0.8694
O1 O 0.1892 0.0650 0.9624
O2 O 0.2599 0.6526 0.4051
O3 O 0.3072 0.2213 0.2955
O4 O 0.4978 0.0686 0.6614
F1 F 0.0426 0.5976 0.9635